[1]
An optimized crystal structure of Ce4Ni3Bi8. Source: Materials Project, functional meta-GGA r2SCAN.

Values from the calculation:
VASP energy = -42.427 eV/atom
Formation enthalpy at 0 K = -0.6049 eV/atom
Symmetry = P-4m2

Cell lengths 4.563, 4.563, 19.400 Å; angles 90.00, 90.00, 90.00 degrees
Fractional coordinates of all 15 atoms:
Ce1 0.000 0.500 0.112
Ce2 0.000 0.500 0.616
Ce3 0.500 0.000 0.384
Ce4 0.500 0.000 0.888
Ni1 0.000 0.000 0.500
Ni2 0.500 0.500 0.000
Ni3 0.500 0.500 0.500
Bi1 0.000 0.000 0.249
Bi2 0.000 0.000 0.751
Bi3 0.000 0.500 0.431
Bi4 0.000 0.500 0.933
Bi5 0.500 0.000 0.067
Bi6 0.500 0.000 0.569
Bi7 0.500 0.500 0.248
Bi8 0.500 0.500 0.752


[2]
An optimized crystal structure of Ce3Bi4Pd3. Source: Materials Project, functional meta-GGA r2SCAN.

Values from the calculation:
VASP energy = -40.397 eV/atom
Formation enthalpy at 0 K = -0.8559 eV/atom
Symmetry = I-43d

Cell lengths 8.675, 8.675, 8.675 Å; angles 109.47, 109.47, 109.47 degrees
Fractional coordinates of all 20 atoms:
Ce1 0.125 0.750 0.875
Ce2 0.250 0.625 0.375
Ce3 0.375 0.250 0.625
Ce4 0.625 0.375 0.250
Ce5 0.750 0.875 0.125
Ce6 0.875 0.125 0.750
Bi1 0.000 0.330 0.500
Bi2 0.000 0.830 0.500
Bi3 0.170 0.170 0.170
Bi4 0.330 0.500 0.000
Bi5 0.500 0.000 0.330
Bi6 0.500 0.000 0.830
Bi7 0.670 0.670 0.670
Bi8 0.830 0.500 0.000
Pd1 0.125 0.875 0.250
Pd2 0.250 0.125 0.875
Pd3 0.375 0.625 0.750
Pd4 0.625 0.750 0.375
Pd5 0.750 0.375 0.625
Pd6 0.875 0.250 0.125


[3]
An optimized crystal structure of CeBiPd. Source: Materials Project, functional meta-GGA r2SCAN.

Values from the calculation:
VASP energy = -38.462 eV/atom
Formation enthalpy at 0 K = -1.0280 eV/atom
Symmetry = F-43m

Cell lengths 4.856, 4.856, 4.856 Å; angles 60.00, 60.00, 60.00 degrees
Fractional coordinates of all 3 atoms:
Ce1 0.000 0.000 0.000
Bi1 0.500 0.500 0.500
Pd1 0.250 0.250 0.250


> Among the records above, which one has the lowest VASP energy?

Ce4Ni3Bi8


> Which value of formation enthalpy at 0 K does entry 1 give?

-0.6049 eV/atom


> Which of these has the lowest VASP energy?

Ce4Ni3Bi8


> Which of these has the highest VASP energy?

CeBiPd